Sm6Nb4Al43 | Materials Project | PBE | relaxed; magnetization = 0.02 μB per formula unit; final energy = -495.12 eV per cell; energy of formation = -336 meV/atom; space-group type = P6_3/mcm (193)
1.0
11.179 0.000 0.000
-5.589 9.681 0.000
0.000 0.000 17.931
Sm Nb Al
12 8 86
Direct
0.000 0.471 0.096 Sm
0.000 0.471 0.404 Sm
0.000 0.529 0.596 Sm
0.000 0.529 0.904 Sm
0.471 0.000 0.096 Sm
0.471 0.000 0.404 Sm
0.471 0.471 0.596 Sm
0.471 0.471 0.904 Sm
0.529 0.000 0.596 Sm
0.529 0.000 0.904 Sm
0.529 0.529 0.096 Sm
0.529 0.529 0.404 Sm
0.000 0.000 0.000 Nb
0.000 0.000 0.500 Nb
0.000 0.273 0.250 Nb
0.000 0.727 0.750 Nb
0.273 0.000 0.250 Nb
0.273 0.273 0.750 Nb
0.727 0.000 0.750 Nb
0.727 0.727 0.250 Nb
0.000 0.146 0.750 Al
0.000 0.158 0.116 Al
0.000 0.158 0.384 Al
0.000 0.255 0.530 Al
0.000 0.255 0.970 Al
0.000 0.745 0.030 Al
0.000 0.745 0.470 Al
0.000 0.842 0.616 Al
0.000 0.842 0.884 Al
0.000 0.854 0.250 Al
0.146 0.000 0.750 Al
0.146 0.146 0.250 Al
0.150 0.554 0.250 Al
0.150 0.595 0.750 Al
0.157 0.394 0.665 Al
0.157 0.394 0.835 Al
0.157 0.763 0.165 Al
0.157 0.763 0.335 Al
0.158 0.000 0.116 Al
0.158 0.000 0.384 Al
0.158 0.158 0.616 Al
0.158 0.158 0.884 Al
0.237 0.394 0.165 Al
0.237 0.394 0.335 Al
0.237 0.843 0.665 Al
0.237 0.843 0.835 Al
0.247 0.495 0.000 Al
0.247 0.495 0.500 Al
0.247 0.753 0.000 Al
0.247 0.753 0.500 Al
0.255 0.000 0.530 Al
0.255 0.000 0.970 Al
0.255 0.255 0.030 Al
0.255 0.255 0.470 Al
0.333 0.667 0.127 Al
0.333 0.667 0.373 Al
0.333 0.667 0.627 Al
0.333 0.667 0.873 Al
0.394 0.157 0.665 Al
0.394 0.157 0.835 Al
0.394 0.237 0.165 Al
0.394 0.237 0.335 Al
0.405 0.554 0.750 Al
0.405 0.850 0.250 Al
0.446 0.595 0.250 Al
0.446 0.850 0.750 Al
0.495 0.247 0.000 Al
0.495 0.247 0.500 Al
0.505 0.753 0.000 Al
0.505 0.753 0.500 Al
0.554 0.150 0.250 Al
0.554 0.405 0.750 Al
0.595 0.150 0.750 Al
0.595 0.446 0.250 Al
0.606 0.763 0.665 Al
0.606 0.763 0.835 Al
0.606 0.843 0.165 Al
0.606 0.843 0.335 Al
0.667 0.333 0.127 Al
0.667 0.333 0.373 Al
0.667 0.333 0.627 Al
0.667 0.333 0.873 Al
0.745 0.000 0.030 Al
0.745 0.000 0.470 Al
0.745 0.745 0.530 Al
0.745 0.745 0.970 Al
0.753 0.247 0.000 Al
0.753 0.247 0.500 Al
0.753 0.505 0.000 Al
0.753 0.505 0.500 Al
0.763 0.157 0.165 Al
0.763 0.157 0.335 Al
0.763 0.606 0.665 Al
0.763 0.606 0.835 Al
0.842 0.000 0.616 Al
0.842 0.000 0.884 Al
0.842 0.842 0.116 Al
0.842 0.842 0.384 Al
0.843 0.237 0.665 Al
0.843 0.237 0.835 Al
0.843 0.606 0.165 Al
0.843 0.606 0.335 Al
0.850 0.405 0.250 Al
0.850 0.446 0.750 Al
0.854 0.000 0.250 Al
0.854 0.854 0.750 Al

Ti3NbAl2 | Materials Project | PBE | relaxed; final energy = -43.22 eV per cell; energy of formation = -323 meV/atom; space-group type = P-3m1 (164)
1.0
4.593 0.000 0.000
-2.296 3.978 0.000
0.000 0.000 5.501
Ti Nb Al
3 1 2
Direct
0.000 0.000 0.000 Ti
0.333 0.667 0.717 Ti
0.667 0.333 0.283 Ti
0.000 0.000 0.500 Nb
0.333 0.667 0.225 Al
0.667 0.333 0.775 Al

Ti4Nb3Al9 | Materials Project | PBE | relaxed; magnetization = 0.00 μB per formula unit; final energy = -101.26 eV per cell; energy of formation = -354 meV/atom; space-group type = P4/mmm (123)
1.0
5.678 0.000 0.000
0.000 5.678 0.000
0.000 0.000 8.166
Ti Nb Al
4 3 9
Direct
0.000 0.000 0.000 Ti
0.000 0.500 0.500 Ti
0.500 0.000 0.500 Ti
0.500 0.500 0.000 Ti
0.000 0.000 0.500 Nb
0.000 0.500 0.000 Nb
0.500 0.000 0.000 Nb
0.249 0.249 0.250 Al
0.249 0.249 0.750 Al
0.249 0.751 0.250 Al
0.249 0.751 0.750 Al
0.500 0.500 0.500 Al
0.751 0.249 0.250 Al
0.751 0.249 0.750 Al
0.751 0.751 0.250 Al
0.751 0.751 0.750 Al

> Among the records above, which one has the highest energy of formation?

Ti3NbAl2

> Which of these has the highest final energy?

Ti3NbAl2

> Which of these has the highest final energy?

Ti3NbAl2

> The lowest final energy belongs to which entry?

Sm6Nb4Al43